210
Lattice="17.394 -0.014 -0.004 -4.355 7.534 0.000 -0.005 -0.003 22.459" Properties=species:S:1:pos:R:3 comment="PBE-GGA Na2Ti8Si5S7O48, optimized geometry" total_energy_ev_per_cell=-1548.52 mass_density_g_cm3=2.6 formation_energy_mev_per_atom=-2711 vol_a3_per_cell=2941.7 pbc="T T T"
Na 13.012 7.517 11.221
Na 4.312 7.509 22.391
Na 4.365 2.523 18.731
Na 13.015 2.513 18.678
Na 4.355 2.489 7.466
Na 13.048 2.500 7.534
Ti -4.278 7.464 8.013
Ti 8.629 0.036 8.028
Ti 13.021 7.435 19.239
Ti 8.695 0.001 19.141
Ti -4.341 7.507 14.534
Ti 4.430 7.477 14.550
Ti -4.293 7.527 3.216
Ti 8.660 0.013 3.287
Ti 4.339 2.653 15.415
Ti 13.073 2.589 15.501
Ti 4.462 2.495 4.253
Ti 13.073 2.420 4.109
Ti 4.404 2.688 21.917
Ti 13.180 2.422 21.968
Ti 4.392 2.666 10.825
Ti 13.217 2.441 10.727
Ti 0.094 4.938 0.367
Ti 8.593 4.974 0.549
Ti -0.082 4.977 11.845
Ti 8.646 5.150 11.644
Ti -0.163 5.078 6.985
Ti 8.586 4.996 7.060
Ti -0.053 4.938 18.263
Ti 8.571 4.834 18.127
Si 2.486 0.035 5.596
Si 7.482 2.186 5.620
Si 9.959 2.120 16.815
Si -3.061 5.381 16.852
Si 5.585 5.376 16.868
Si 15.555 2.455 13.155
Si 3.064 4.763 13.114
Si 5.577 4.703 1.907
Si 14.347 0.259 1.851
Si 2.510 5.047 20.529
Si -1.226 2.813 20.572
Si 7.479 2.812 20.602
Si 9.954 7.167 9.310
Si -2.494 5.011 9.405
Si 6.153 5.044 9.357
S 11.195 -0.006 5.613
S 3.077 5.362 5.628
S 11.780 5.345 5.600
S -1.249 2.165 5.615
S 1.248 2.154 16.850
S 1.816 7.518 16.831
S 10.534 7.506 16.852
S 6.876 2.503 13.101
S 3.106 0.352 13.106
S 11.790 0.348 13.099
S 11.766 4.655 13.090
S 14.306 4.668 1.860
S 5.578 0.325 1.860
S 1.853 2.513 1.874
S 10.548 2.502 1.857
S 11.179 4.996 20.589
S -1.262 7.183 20.591
S 7.443 7.171 20.581
S 1.229 7.180 9.367
S 1.254 2.862 9.353
S 9.941 2.850 9.364
O 1.527 0.235 6.903
O 10.377 0.239 6.807
O 3.724 5.959 6.819
O 12.418 5.943 6.805
O 7.745 1.193 6.901
O 16.305 1.327 6.812
O 1.031 1.321 18.043
O 9.686 1.211 18.143
O 4.873 6.017 18.164
O 13.603 6.094 18.129
O 6.992 0.255 18.044
O 15.733 0.243 18.047
O 2.644 7.295 15.632
O 11.383 7.310 15.641
O 0.634 1.558 15.629
O 9.243 1.460 15.516
O -3.415 6.325 15.547
O 5.320 6.272 15.539
O 3.319 6.195 4.417
O 12.011 6.181 4.398
O -0.663 1.564 4.411
O 8.120 1.410 4.316
O -2.838 7.295 4.311
O 6.024 7.310 4.397
O 5.998 2.733 14.288
O 14.568 2.717 14.402
O 3.696 0.936 14.309
O 12.414 0.925 14.290
O 3.364 3.713 14.368
O 11.989 3.845 14.304
O 5.298 3.725 3.175
O 14.044 3.817 3.074
O 4.989 0.925 3.083
O 13.622 1.067 3.145
O 2.667 2.738 3.078
O 11.386 2.716 3.087
O 2.650 2.245 0.677
O 11.377 2.267 0.674
O 4.899 4.001 0.592
O 13.654 4.064 0.678
O 5.396 1.162 0.675
O 14.020 1.298 0.606
O 3.308 1.171 11.888
O 12.005 1.170 11.887
O 3.770 3.959 11.829
O 12.400 4.073 11.893
O 5.992 2.275 11.894
O 14.618 2.237 11.811
O 1.554 5.254 21.891
O 10.388 5.251 21.797
O -0.605 3.554 21.898
O 8.131 3.570 21.893
O -1.065 6.345 21.802
O 7.670 6.369 21.799
O 1.050 6.359 10.553
O 9.693 6.238 10.660
O 0.650 3.448 10.553
O 9.313 3.429 10.564
O -1.531 5.281 10.657
O 7.131 5.235 10.659
O -1.560 4.769 8.060
O 7.103 4.751 8.059
O 0.645 6.571 8.137
O 9.265 6.456 8.030
O 1.058 3.678 8.139
O 9.741 3.675 8.149
O -1.032 3.786 19.287
O 7.674 3.791 19.309
O -0.640 6.596 19.387
O 8.078 6.628 19.388
O 1.521 4.783 19.275
O 10.385 4.790 19.379
O -3.444 6.323 9.162
O 5.224 6.333 9.052
O 2.704 7.322 9.155
O 11.553 7.378 9.124
O 0.629 1.516 9.203
O 9.337 1.497 9.159
O -0.599 1.353 20.298
O 8.115 1.346 20.413
O -2.731 7.331 20.402
O 5.981 7.332 20.472
O 3.457 6.334 20.434
O 12.057 6.204 20.401
O 7.679 1.305 13.261
O 16.524 1.153 13.327
O 1.616 0.200 13.252
O 10.335 0.182 13.247
O 3.748 6.182 13.349
O 12.382 6.021 13.262
O 4.926 6.188 2.122
O 13.661 5.987 2.058
O 7.071 0.174 2.046
O 15.920 0.185 2.185
O 0.959 1.326 2.077
O 9.696 1.293 2.040
O 5.305 1.190 16.656
O 14.040 1.179 16.686
O 2.726 2.272 16.685
O 11.571 2.293 16.594
O 4.950 3.854 16.634
O 13.633 3.898 16.659
O 3.691 4.021 5.455
O 12.414 3.992 5.426
O 5.856 2.318 5.430
O 14.646 2.338 5.429
O 3.439 1.325 5.383
O 12.057 1.229 5.440
O 3.376 3.670 20.770
O 12.068 3.811 20.775
O 5.844 2.643 20.793
O 14.524 2.692 20.785
O 3.684 0.986 20.770
O 12.381 1.027 20.773
O 4.989 0.995 9.507
O 13.582 1.090 9.532
O 2.730 2.666 9.515
O 11.396 2.686 9.522
O 5.244 3.680 9.545
O 13.895 3.719 9.533
O 0.969 3.704 1.706
O 9.708 3.697 1.727
O -1.646 4.834 1.709
O 7.173 4.845 1.640
O 0.630 6.522 1.706
O 9.299 6.387 1.588
O -0.653 6.549 12.930
O 8.052 6.519 12.916
O 1.493 4.841 12.793
O 10.312 4.806 12.919
O -0.924 3.779 12.862
O 7.701 3.703 12.898
O -0.903 6.247 5.861
O 7.712 6.355 5.760
O 1.630 5.215 5.815
O 10.339 5.194 5.787
O -0.638 3.503 5.781
O 8.144 3.635 5.857
O 0.652 3.492 16.991
O 9.347 3.613 17.079
O -1.478 5.234 17.092
O 7.182 5.230 17.047
O 0.968 6.337 17.035
O 9.699 6.330 17.038